1.
The following is a PBE with a Hubbard U calculation of Mg6NiCO8 after structural relaxation, from the Materials Project database.

Values from the calculation:
symmetry = No. 123
crystal system = tetragonal
energy above the lowest structure with this stoichiometry = 81 meV per atom
total magnetization = 0.0551 μB/atom

abc: 8.5189 4.1967 4.1967
angles: 90.00 90.00 90.00
Last column: nearest neighbours and their distance in Å.
Atoms (fractional coordinates):
O  0.0000  0.5000  0.0000  2 Mg 2.08, 2 C 2.10, 2 Ni 2.10
O  0.5000  0.5000  0.0000  6 Mg 2.10-2.18
O  0.5000  0.0000  0.5000  6 Mg 2.10-2.18
O  0.7515  0.5000  0.5000  5 Mg 2.10-2.14, 1 C 2.12
O  0.7507  0.0000  0.0000  5 Mg 2.10-2.14, 1 Ni 2.12
O  0.2485  0.5000  0.5000  5 Mg 2.10-2.14, 1 C 2.12
O  0.2493  0.0000  0.0000  5 Mg 2.10-2.14, 1 Ni 2.12
O  0.0000  0.0000  0.5000  2 Mg 2.08, 2 C 2.10, 2 Ni 2.10
C  0.0000  0.5000  0.5000  6 O 2.10-2.12
Mg  0.7557  0.0000  0.5000  6 O 2.08-2.18
Mg  0.5000  0.5000  0.5000  6 O 2.10-2.14
Mg  0.5000  0.0000  0.0000  6 O 2.10-2.14
Mg  0.2443  0.5000  0.0000  6 O 2.08-2.18
Mg  0.7557  0.5000  0.0000  6 O 2.08-2.18
Mg  0.2443  0.0000  0.5000  6 O 2.08-2.18
Ni  0.0000  0.0000  0.0000  6 O 2.10-2.12


2.
The following is a PBE with a Hubbard U calculation of Mg6NiCO8 after structural relaxation, from the Materials Project database.

Values from the calculation:
symmetry = No. 123
crystal system = tetragonal
energy above the lowest structure with this stoichiometry = 0 meV per atom
total magnetization = 0.1250 μB/atom

abc: 8.4881 4.2111 4.2111
angles: 90.00 90.00 90.00
Last column: nearest neighbours and their distance in Å.
Atoms (fractional coordinates):
O  0.0000  0.0000  0.5000  4 Mg 2.11-2.14, 2 Ni 2.11
O  0.2501  0.0000  0.0000  4 Mg 2.11, 1 C 2.12, 1 Ni 2.12
O  0.0000  0.5000  0.0000  4 Mg 2.11-2.14, 2 Ni 2.11
O  0.2514  0.5000  0.5000  6 Mg 2.11-2.13
O  0.7499  0.0000  0.0000  4 Mg 2.11, 1 C 2.12, 1 Ni 2.12
O  0.5000  0.0000  0.5000  4 Mg 2.10-2.11, 2 C 2.11
O  0.5000  0.5000  0.0000  4 Mg 2.10-2.11, 2 C 2.11
O  0.7486  0.5000  0.5000  6 Mg 2.11-2.13
Mg  0.7475  0.0000  0.5000  6 O 2.10-2.14
Mg  0.5000  0.5000  0.5000  6 O 2.11
Mg  0.2525  0.5000  0.0000  6 O 2.10-2.14
Mg  0.7475  0.5000  0.0000  6 O 2.10-2.14
Mg  0.2525  0.0000  0.5000  6 O 2.10-2.14
Mg  0.0000  0.5000  0.5000  6 O 2.11-2.13
C  0.5000  0.0000  0.0000  6 O 2.11-2.12
Ni  0.0000  0.0000  0.0000  6 O 2.11-2.12


3.
The following is a PBE with a Hubbard U calculation of Mg14VCO16 after structural relaxation, from the Materials Project database.

Values from the calculation:
symmetry = No. 47
crystal system = orthorhombic
total magnetization = 0.0937 μB/atom

abc: 8.4848 8.7816 4.2015
angles: 90.00 90.00 90.00
Last column: nearest neighbours and their distance in Å.
Atoms (fractional coordinates):
O  0.7525  0.7489  0.5000  6 Mg 2.10-2.21
O  0.2561  0.5000  0.0000  5 Mg 2.07-2.15, 1 C 2.17
O  0.5000  0.5000  0.5000  6 Mg 2.10-2.18
O  0.5000  0.7511  0.0000  6 Mg 2.10-2.21
O  0.2475  0.2511  0.5000  6 Mg 2.10-2.21
O  0.0000  0.0000  0.5000  2 V 2.10, 4 Mg 2.14-2.28
O  0.7486  0.0000  0.0000  5 Mg 2.10-2.25, 1 V 2.13
O  0.0000  0.7791  0.0000  1 V 1.94, 4 Mg 2.12-2.13
O  0.0000  0.5000  0.5000  4 Mg 2.09-2.11, 2 C 2.10
O  0.2514  0.0000  0.0000  5 Mg 2.10-2.25, 1 V 2.13
O  0.2475  0.7489  0.5000  6 Mg 2.10-2.21
O  0.7439  0.5000  0.0000  5 Mg 2.07-2.15, 1 C 2.17
O  0.5000  0.0000  0.5000  6 Mg 2.10-2.21
O  0.0000  0.2209  0.0000  1 V 1.94, 4 Mg 2.12-2.13
O  0.7525  0.2511  0.5000  6 Mg 2.10-2.21
O  0.5000  0.2489  0.0000  6 Mg 2.10-2.21
V  0.0000  0.0000  0.0000  6 O 1.94-2.13
Mg  0.2461  0.5000  0.5000  6 O 2.09-2.19
Mg  0.2467  0.7442  0.0000  6 O 2.10-2.25
Mg  0.0000  0.2601  0.5000  6 O 2.10-2.28
Mg  0.7473  0.0000  0.5000  6 O 2.10-2.21
Mg  0.2467  0.2558  0.0000  6 O 2.10-2.25
Mg  0.5000  0.2518  0.5000  6 O 2.10-2.21
Mg  0.5000  0.5000  0.0000  6 O 2.07-2.21
Mg  0.5000  0.7482  0.5000  6 O 2.10-2.21
Mg  0.0000  0.7399  0.5000  6 O 2.10-2.28
Mg  0.2527  0.0000  0.5000  6 O 2.10-2.21
Mg  0.5000  0.0000  0.0000  6 O 2.10-2.19
Mg  0.7533  0.2558  0.0000  6 O 2.10-2.25
Mg  0.7533  0.7442  0.0000  6 O 2.10-2.25
Mg  0.7539  0.5000  0.5000  6 O 2.09-2.19
C  0.0000  0.5000  0.0000  4 O 2.10-2.17


Here are the calculated calculated formation energy numbers, same order: -2102; -2183; -2668 (meV per atom).